# 1
The following is a PBE calculation of an optimized crystal structure of Y2Cu2O5, from the Materials Project database.

space-group type: No. 62
DFT formation energy: -2.5848 eV per atom
density: 5.04 g cm⁻³
E above lowest polymorph: 0.000 eV/atom

Lattice parameters (Å, degrees): 6.266 7.193 11.246 90.00 90.00 90.00
Fractional positions:
Y  0.250  0.880  0.021
Y  0.250  0.380  0.521
Y  0.250  0.380  0.979
Y  0.250  0.880  0.479
Y  0.750  0.120  0.979
Y  0.750  0.620  0.479
Y  0.750  0.620  0.021
Y  0.750  0.120  0.521
O  0.570  0.857  0.914
O  0.255  0.381  0.750
O  0.596  0.386  0.588
O  0.070  0.643  0.586
O  0.430  0.143  0.086
O  0.930  0.357  0.086
O  0.070  0.643  0.914
O  0.596  0.386  0.912
O  0.404  0.614  0.088
O  0.570  0.857  0.586
O  0.245  0.881  0.250
O  0.745  0.619  0.250
O  0.096  0.114  0.912
O  0.430  0.143  0.414
O  0.404  0.614  0.412
O  0.755  0.119  0.750
O  0.904  0.886  0.412
O  0.096  0.114  0.588
O  0.904  0.886  0.088
O  0.930  0.357  0.414
Cu  0.588  0.873  0.750
Cu  0.429  0.651  0.250
Cu  0.412  0.127  0.250
Cu  0.071  0.151  0.750
Cu  0.088  0.627  0.750
Cu  0.929  0.849  0.250
Cu  0.912  0.373  0.250
Cu  0.571  0.349  0.750

---

# 2
The following is a PBE calculation of an optimized crystal structure of Li3Hg, from the Materials Project database.

space-group type: No. 225
DFT formation energy: -0.2799 eV per atom
density: 5.23 g cm⁻³
E above lowest polymorph: 0.000 eV/atom

Lattice parameters (Å, degrees): 4.631 4.631 4.631 60.00 60.00 60.00
Fractional positions:
Hg  0.000  0.000  0.000
Li  0.500  0.500  0.500
Li  0.250  0.250  0.250
Li  0.750  0.750  0.750

---

# 3
The following is a PBE calculation of an optimized crystal structure of SiO2, from the Materials Project database.

space-group type: No. 48
DFT formation energy: -3.0183 eV per atom
density: 2.25 g cm⁻³

Lattice parameters (Å, degrees): 4.521 8.272 9.475 90.00 90.00 90.00
Fractional positions:
Si  0.798  0.166  0.901
Si  0.202  0.166  0.099
Si  0.702  0.666  0.401
Si  0.298  0.334  0.401
Si  0.798  0.834  0.099
Si  0.202  0.834  0.901
Si  0.702  0.334  0.599
Si  0.298  0.666  0.599
O  0.500  0.216  0.500
O  0.000  0.716  0.000
O  0.000  0.284  0.000
O  0.500  0.149  0.000
O  0.750  0.250  0.750
O  0.500  0.851  0.000
O  0.000  0.000  0.137
O  0.500  0.784  0.500
O  0.250  0.750  0.750
O  0.000  0.000  0.863
O  0.500  0.500  0.363
O  0.500  0.500  0.637
O  0.000  0.649  0.500
O  0.250  0.250  0.250
O  0.000  0.351  0.500
O  0.750  0.750  0.250

---

# 4
The following is a PBE calculation of an optimized crystal structure of Li5GaO4, from the Materials Project database.

space-group type: No. 61
DFT formation energy: -2.1829 eV per atom
density: 2.81 g cm⁻³

Lattice parameters (Å, degrees): 9.099 9.111 9.618 90.00 90.00 90.00
Fractional positions:
O  0.511  0.009  0.240
O  0.248  0.963  0.509
O  0.011  0.491  0.760
O  0.989  0.991  0.740
O  0.271  0.750  0.247
O  0.011  0.009  0.260
O  0.771  0.750  0.253
O  0.989  0.509  0.240
O  0.252  0.463  0.509
O  0.729  0.250  0.753
O  0.229  0.250  0.247
O  0.489  0.509  0.260
O  0.026  0.241  0.512
O  0.526  0.241  0.988
O  0.474  0.741  0.512
O  0.974  0.741  0.988
O  0.474  0.759  0.012
O  0.771  0.750  0.753
O  0.248  0.537  0.009
O  0.026  0.259  0.012
O  0.511  0.491  0.740
O  0.748  0.537  0.491
O  0.271  0.750  0.747
O  0.752  0.037  0.491
O  0.729  0.250  0.253
O  0.748  0.963  0.991
O  0.752  0.463  0.991
O  0.229  0.250  0.747
O  0.974  0.759  0.488
O  0.526  0.259  0.488
O  0.252  0.037  0.009
O  0.489  0.991  0.760
Li  0.625  0.849  0.133
Li  0.144  0.403  0.129
Li  0.106  0.118  0.868
Li  0.375  0.151  0.867
Li  0.606  0.118  0.632
Li  0.668  0.383  0.606
Li  0.107  0.668  0.129
Li  0.356  0.903  0.129
Li  0.644  0.097  0.871
Li  0.356  0.597  0.629
Li  0.893  0.332  0.871
Li  0.856  0.903  0.371
Li  0.875  0.151  0.633
Li  0.168  0.383  0.894
Li  0.393  0.332  0.629
Li  0.875  0.349  0.133
Li  0.375  0.349  0.367
Li  0.668  0.117  0.106
Li  0.856  0.597  0.871
Li  0.106  0.382  0.368
Li  0.606  0.382  0.132
Li  0.832  0.617  0.106
Li  0.607  0.832  0.871
Li  0.332  0.617  0.394
Li  0.832  0.883  0.606
Li  0.393  0.168  0.129
Li  0.894  0.882  0.132
Li  0.125  0.849  0.367
Li  0.894  0.618  0.632
Li  0.107  0.832  0.629
Li  0.125  0.651  0.867
Li  0.144  0.097  0.629
Li  0.168  0.117  0.394
Li  0.394  0.618  0.868
Li  0.607  0.668  0.371
Li  0.644  0.403  0.371
Li  0.625  0.651  0.633
Li  0.394  0.882  0.368
Li  0.893  0.168  0.371
Li  0.332  0.883  0.894
Ga  0.386  0.622  0.131
Ga  0.114  0.378  0.631
Ga  0.614  0.122  0.369
Ga  0.886  0.878  0.869
Ga  0.614  0.378  0.869
Ga  0.886  0.622  0.369
Ga  0.386  0.878  0.631
Ga  0.114  0.122  0.131

---

# 5
The following is a PBE calculation of an optimized crystal structure of CaMg14Ti, from the Materials Project database.

space-group type: No. 187
DFT formation energy: 0.0651 eV per atom
density: 1.90 g cm⁻³
E above lowest polymorph: 0.000 eV/atom

Lattice parameters (Å, degrees): 6.492 6.492 10.280 90.00 90.00 120.00
Fractional positions:
Mg  0.833  0.667  0.372
Mg  0.333  0.167  0.866
Mg  0.169  0.834  0.625
Mg  0.173  0.837  0.125
Mg  0.663  0.837  0.125
Mg  0.663  0.327  0.125
Mg  0.666  0.331  0.625
Mg  0.333  0.167  0.384
Mg  0.666  0.834  0.625
Mg  0.333  0.666  0.866
Mg  0.333  0.666  0.384
Mg  0.834  0.167  0.866
Mg  0.834  0.167  0.384
Mg  0.833  0.667  0.878
Ca  0.167  0.333  0.125
Ti  0.167  0.333  0.625

---

# 6
The following is a PBE calculation of an optimized crystal structure of NaNp3F13, from the Materials Project database.

space-group type: No. 194
DFT formation energy: -3.6884 eV per atom
density: 6.87 g cm⁻³

Lattice parameters (Å, degrees): 8.165 8.165 16.437 90.00 90.00 120.00
Fractional positions:
F  0.843  0.157  0.360
F  0.540  0.460  0.841
F  0.326  0.326  0.500
F  0.000  0.000  0.923
F  0.000  0.326  0.000
F  0.843  0.686  0.360
F  0.667  0.333  0.250
F  0.326  0.000  0.000
F  0.157  0.843  0.860
F  0.000  0.000  0.077
F  0.333  0.667  0.049
F  0.081  0.540  0.341
F  0.000  0.326  0.500
F  0.674  0.674  0.500
F  0.460  0.540  0.341
F  0.686  0.843  0.860
F  0.284  0.142  0.750
F  0.081  0.540  0.159
F  0.843  0.686  0.140
F  0.843  0.157  0.140
F  0.333  0.667  0.451
F  0.142  0.858  0.250
F  0.157  0.314  0.640
F  0.314  0.157  0.140
F  0.000  0.000  0.423
F  0.460  0.540  0.159
F  0.333  0.667  0.750
F  0.326  0.000  0.500
F  0.142  0.284  0.250
F  0.540  0.081  0.841
F  0.460  0.919  0.159
F  0.674  0.000  0.000
F  0.919  0.460  0.841
F  0.716  0.858  0.250
F  0.674  0.000  0.500
F  0.326  0.326  0.000
F  0.858  0.716  0.750
F  0.674  0.674  0.000
F  0.000  0.674  0.500
F  0.460  0.919  0.341
F  0.919  0.460  0.659
F  0.314  0.157  0.360
F  0.157  0.843  0.640
F  0.667  0.333  0.549
F  0.540  0.460  0.659
F  0.667  0.333  0.951
F  0.858  0.142  0.750
F  0.686  0.843  0.640
F  0.157  0.314  0.860
F  0.000  0.674  0.000
F  0.000  0.000  0.577
F  0.540  0.081  0.659
Na  0.667  0.333  0.376
Na  0.333  0.667  0.624
Na  0.667  0.333  0.124
Na  0.333  0.667  0.876
Np  0.332  0.166  0.613
Np  0.834  0.166  0.887
Np  0.834  0.166  0.613
Np  0.332  0.166  0.887
Np  0.166  0.834  0.387
Np  0.166  0.332  0.387
Np  0.166  0.834  0.113
Np  0.834  0.668  0.887
Np  0.834  0.668  0.613
Np  0.166  0.332  0.113
Np  0.668  0.834  0.387
Np  0.668  0.834  0.113